Entry 1:
ErRu2: optimized geometry, r2SCAN.

a = 5.1997 Å, b = 5.1997 Å, c = 8.8695 Å
α = 90.00°, β = 90.00°, γ = 120.00°
With the nearest neighbours (Å) after each atom.
Fractional coordinates of all 12 atoms:
Ru1 0.8291 0.6582 0.2500  6 Ru 2.53-2.70
Ru2 0.1709 0.8291 0.7500  6 Ru 2.53-2.70
Ru3 0.1709 0.3418 0.7500  6 Ru 2.53-2.70
Ru4 0.3418 0.1709 0.2500  6 Ru 2.53-2.70
Ru5 0.6582 0.8291 0.7500  6 Ru 2.53-2.70
Ru6 0.0000 0.0000 0.5000  6 Ru 2.70
Ru7 0.8291 0.1709 0.2500  6 Ru 2.53-2.70
Ru8 0.0000 0.0000 0.0000  6 Ru 2.70
Er1 0.6667 0.3333 0.9327  12 Ru 3.06-3.17, 4 Er 3.23-3.24
Er2 0.6667 0.3333 0.5673  12 Ru 3.06-3.17, 4 Er 3.23-3.24
Er3 0.3333 0.6667 0.0673  12 Ru 3.06-3.17, 4 Er 3.23-3.24
Er4 0.3333 0.6667 0.4327  12 Ru 3.06-3.17, 4 Er 3.23-3.24

- Total magnetic moment: 0.00 μB per formula unit
- Total energy: -28.646 eV/atom
- Energy of formation: -0.388 eV per atom

***

Entry 2:
ErScRu2: optimized geometry, r2SCAN.

a = 4.6278 Å, b = 4.6278 Å, c = 4.6278 Å
α = 60.00°, β = 60.00°, γ = 60.00°
With the nearest neighbours (Å) after each atom.
Fractional coordinates of all 4 atoms:
Ru1 0.7500 0.7500 0.7500  4 Er 2.83, 4 Sc 2.83
Ru2 0.2500 0.2500 0.2500  4 Er 2.83, 4 Sc 2.83
Sc1 0.0000 0.0000 0.0000  8 Ru 2.83
Er1 0.5000 0.5000 0.5000  8 Ru 2.83

- Total magnetic moment: 0.00 μB per formula unit
- Total energy: -24.532 eV/atom
- Energy of formation: -0.489 eV per atom

***

Entry 3:
ErSi2Ru2: optimized geometry, r2SCAN.

a = 4.1539 Å, b = 4.1539 Å, c = 5.5678 Å
α = 111.90°, β = 111.90°, γ = 90.00°
With the nearest neighbours (Å) after each atom.
Fractional coordinates of all 5 atoms:
Ru1 0.7500 0.2500 0.5000  4 Si 2.36
Ru2 0.2500 0.7500 0.5000  4 Si 2.36
Si1 0.3685 0.3685 0.7370  4 Ru 2.36, 1 Si 2.49
Si2 0.6315 0.6315 0.2630  4 Ru 2.36, 1 Si 2.49
Er1 0.0000 0.0000 0.0000  8 Ru 3.15, 10 Si 3.19-3.49

- Total magnetic moment: 0.00 μB per formula unit
- Total energy: -21.429 eV/atom
- Energy of formation: -0.965 eV per atom

***

Entry 4:
ErSiRu: optimized geometry, r2SCAN.

a = 4.2930 Å, b = 6.9211 Å, c = 7.0319 Å
α = 90.00°, β = 90.00°, γ = 90.00°
With the nearest neighbours (Å) after each atom.
Fractional coordinates of all 12 atoms:
Er1 0.7500 0.5140 0.6874  4 Ru 2.91-2.92, 6 Si 2.97-3.21
Er2 0.2500 0.9860 0.1874  4 Ru 2.91-2.92, 6 Si 2.97-3.21
Er3 0.7500 0.0140 0.8126  4 Ru 2.91-2.92, 6 Si 2.97-3.21
Er4 0.2500 0.4860 0.3126  4 Ru 2.91-2.92, 6 Si 2.97-3.21
Si1 0.7500 0.1963 0.3931  4 Ru 2.44-2.52
Si2 0.7500 0.6963 0.1069  4 Ru 2.44-2.52
Si3 0.2500 0.8037 0.6069  4 Ru 2.44-2.52
Si4 0.2500 0.3037 0.8931  4 Ru 2.44-2.52
Ru1 0.2500 0.1533 0.5663  4 Si 2.44-2.52
Ru2 0.7500 0.8467 0.4337  4 Si 2.44-2.52
Ru3 0.7500 0.3467 0.0663  4 Si 2.44-2.52
Ru4 0.2500 0.6533 0.9337  4 Si 2.44-2.52

- Total magnetic moment: 0.00 μB per formula unit
- Total energy: -23.615 eV/atom
- Energy of formation: -0.907 eV per atom

***

Entry 5:
ErTaRu2: optimized geometry, r2SCAN.

a = 4.5793 Å, b = 4.5793 Å, c = 4.5793 Å
α = 60.00°, β = 60.00°, γ = 60.00°
With the nearest neighbours (Å) after each atom.
Fractional coordinates of all 4 atoms:
Er1 0.2500 0.2500 0.2500  8 Ru 2.80
Ta1 0.7500 0.7500 0.7500  8 Ru 2.80
Ru1 0.5000 0.5000 0.5000  4 Ta 2.80, 4 Er 2.80
Ru2 0.0000 0.0000 0.0000  4 Er 2.80, 4 Ta 2.80

- Total magnetic moment: 0.00 μB per formula unit
- Total energy: -33.828 eV/atom
- Energy of formation: -0.487 eV per atom

***

Entry 6:
Er6Te2Ru: optimized geometry, r2SCAN.

a = 8.1984 Å, b = 8.1979 Å, c = 3.9979 Å
α = 90.00°, β = 90.00°, γ = 60.00°
With the nearest neighbours (Å) after each atom.
Fractional coordinates of all 9 atoms:
Te1 0.3333 0.3333 0.0000  9 Er 3.20-3.23
Te2 0.6667 0.6667 0.0000  9 Er 3.20-3.23
Er1 0.3906 0.0000 0.5000  1 Ru 3.20, 4 Te 3.22, 4 Er 3.44
Er2 0.0000 0.6094 0.5000  1 Ru 3.20, 4 Te 3.23, 4 Er 3.44
Er3 0.0000 0.2381 0.0000  2 Ru 2.79
Er4 0.6094 0.3906 0.5000  1 Ru 3.20, 4 Te 3.22, 4 Er 3.44
Er5 0.2381 0.7619 0.0000  2 Ru 2.79
Er6 0.7619 0.0000 0.0000  2 Ru 2.79
Ru1 0.0000 0.9999 0.5000  6 Er 2.79

- Total magnetic moment: 0.00 μB per formula unit
- Total energy: -31.915 eV/atom
- Energy of formation: -0.824 eV per atom

***

Entry 7:
ErThRu2: optimized geometry, r2SCAN.

a = 4.8827 Å, b = 4.8827 Å, c = 4.8827 Å
α = 60.00°, β = 60.00°, γ = 60.00°
With the nearest neighbours (Å) after each atom.
Fractional coordinates of all 4 atoms:
Er1 0.5000 0.5000 0.5000  8 Ru 2.99
Th1 0.0000 0.0000 0.0000  8 Ru 2.99
Ru1 0.7500 0.7500 0.7500  4 Th 2.99, 4 Er 2.99
Ru2 0.2500 0.2500 0.2500  4 Er 2.99, 4 Th 2.99

- Total magnetic moment: 0.00 μB per formula unit
- Total energy: -40.048 eV/atom
- Energy of formation: -0.485 eV per atom

***

Entry 8:
ErTmRu2: optimized geometry, r2SCAN.

a = 4.7241 Å, b = 4.7241 Å, c = 4.7241 Å
α = 60.00°, β = 60.00°, γ = 60.00°
With the nearest neighbours (Å) after each atom.
Fractional coordinates of all 4 atoms:
Ru1 0.2500 0.2500 0.2500  4 Er 2.89, 4 Tm 2.89
Ru2 0.7500 0.7500 0.7500  4 Er 2.89, 4 Tm 2.89
Tm1 0.0000 0.0000 0.0000  8 Ru 2.89
Er1 0.5000 0.5000 0.5000  8 Ru 2.89

- Total magnetic moment: 0.00 μB per formula unit
- Total energy: -30.429 eV/atom
- Energy of formation: -0.455 eV per atom

***

Entry 9:
YErRu2: optimized geometry, r2SCAN.

a = 4.7660 Å, b = 4.7660 Å, c = 4.7660 Å
α = 60.00°, β = 60.00°, γ = 60.00°
With the nearest neighbours (Å) after each atom.
Fractional coordinates of all 4 atoms:
Ru1 0.0000 0.0000 0.0000  4 Y 2.92, 4 Er 2.92
Ru2 0.5000 0.5000 0.5000  4 Y 2.92, 4 Er 2.92
Y1 0.7500 0.7500 0.7500  8 Ru 2.92
Er1 0.2500 0.2500 0.2500  8 Ru 2.92

- Total magnetic moment: 0.00 μB per formula unit
- Total energy: -26.638 eV/atom
- Energy of formation: -0.366 eV per atom

***

Entry 10:
Er2ZnRu: optimized geometry, r2SCAN.

a = 4.8315 Å, b = 4.8315 Å, c = 4.8336 Å
α = 60.04°, β = 60.04°, γ = 60.01°
With the nearest neighbours (Å) after each atom.
Fractional coordinates of all 4 atoms:
Er1 0.5001 0.5001 0.4995  4 Ru 2.96-2.97, 4 Zn 2.96
Er2 0.9999 0.9999 0.0004  4 Ru 2.96, 4 Zn 2.96
Zn1 0.7500 0.7501 0.7498  8 Er 2.96
Ru1 0.2499 0.2499 0.2504  8 Er 2.96-2.97

- Total magnetic moment: 0.00 μB per formula unit
- Total energy: -25.984 eV/atom
- Energy of formation: -0.438 eV per atom

***

Entry 11:
ErZrRu2: optimized geometry, r2SCAN.

a = 4.6665 Å, b = 4.6665 Å, c = 4.6665 Å
α = 60.00°, β = 60.00°, γ = 60.00°
With the nearest neighbours (Å) after each atom.
Fractional coordinates of all 4 atoms:
Zr1 0.0000 0.0000 0.0000  8 Ru 2.86
Ru1 0.2500 0.2500 0.2500  4 Er 2.86, 4 Zr 2.86
Ru2 0.7500 0.7500 0.7500  4 Er 2.86, 4 Zr 2.86
Er1 0.5000 0.5000 0.5000  8 Ru 2.86

- Total magnetic moment: 0.00 μB per formula unit
- Total energy: -27.491 eV/atom
- Energy of formation: -0.610 eV per atom

***

Entry 12:
ErScS3: optimized geometry, r2SCAN.

a = 6.3378 Å, b = 6.9517 Å, c = 9.5279 Å
α = 90.00°, β = 90.00°, γ = 90.00°
With the nearest neighbours (Å) after each atom.
Fractional coordinates of all 20 atoms:
S1 0.8514 0.4493 0.5091  2 Sc 2.59, 2 Er 2.70-2.71
S2 0.6486 0.9493 0.5091  2 Sc 2.59, 2 Er 2.70-2.71
S3 0.8244 0.1839 0.1852  2 Sc 2.52-2.56, 1 Er 2.73
S4 0.3514 0.0507 0.0091  2 Sc 2.59, 2 Er 2.70-2.71
S5 0.6757 0.6836 0.8326  2 Sc 2.52-2.56, 1 Er 2.73
S6 0.1757 0.8164 0.3326  2 Sc 2.52-2.56, 1 Er 2.73
S7 0.8243 0.1836 0.8326  2 Sc 2.52-2.56, 1 Er 2.73
S8 0.6756 0.6839 0.1852  2 Sc 2.52-2.56, 1 Er 2.73
S9 0.1486 0.5507 0.0091  2 Sc 2.59, 2 Er 2.70-2.71
S10 0.1756 0.8161 0.6852  2 Sc 2.52-2.56, 1 Er 2.73
S11 0.3244 0.3161 0.6852  2 Sc 2.52-2.56, 1 Er 2.73
S12 0.3243 0.3164 0.3326  2 Sc 2.52-2.56, 1 Er 2.73
Er1 0.4582 0.6011 0.5090  6 S 2.70-2.88
Er2 0.5418 0.3989 0.0090  6 S 2.70-2.88
Er3 0.0418 0.1011 0.5090  6 S 2.70-2.88
Er4 0.9582 0.8989 0.0090  6 S 2.70-2.88
Sc1 0.4999 0.9999 0.7591  6 S 2.52-2.59
Sc2 0.9999 0.5001 0.2591  6 S 2.52-2.59
Sc3 0.5001 0.0001 0.2591  6 S 2.52-2.59
Sc4 0.0001 0.4999 0.7591  6 S 2.52-2.59

- Total magnetic moment: 0.00 μB per formula unit
- Total energy: -16.142 eV/atom
- Energy of formation: -2.256 eV per atom